A relaxed structure of Na2B8O13. Source: Materials Project, functional PBE.

The value obtained for the total energy after the MP2020 corrections is -738.9 eV per cell. The energy of formation from the pure elements is -2796 meV/atom. Its magnetic moment is 0.00 μB/f.u. For the energy above the lowest structure with this stoichiometry, the calculation gives 9 meV per atom.

Cell and atoms, written as extended XYZ:
```
92
Lattice="7.969 0.000 0.000 0.000 10.502 0.000 0.000 2.042 11.693" Properties=species:S:1:pos:R:3 pbc="T T T"
O 0.904 10.758 8.599
O 2.254 10.015 11.362
O 1.446 9.774 1.043
O 6.525 8.020 10.649
O 5.980 11.134 4.893
O 5.014 11.758 8.781
O 7.371 0.528 1.088
O 1.732 4.765 11.362
O 0.657 7.515 1.346
O 0.595 6.766 10.606
O 4.641 5.029 10.347
O 5.430 2.770 10.650
O 3.743 3.268 8.980
O 4.226 4.028 2.732
O 3.069 5.494 8.594
O 1.984 6.667 6.799
O 3.386 12.015 10.605
O 5.716 7.779 0.331
O 3.802 9.864 9.622
O 6.238 2.528 0.331
O 5.187 9.650 7.687
O 3.740 1.533 5.215
O 7.725 11.010 6.478
O 4.228 5.765 6.472
O 3.820 7.677 7.943
O 0.191 4.615 9.613
O 7.054 7.049 3.099
O 4.889 1.785 3.094
O 4.580 5.778 1.087
O 7.786 2.679 2.071
O 3.337 2.271 1.345
O 7.321 10.273 10.348
O 1.996 1.409 6.800
O 6.764 4.400 7.685
O 0.242 8.515 8.961
O 6.476 2.567 6.219
O 2.780 8.143 4.008
O 0.244 6.779 5.221
O 1.486 4.717 5.479
O 1.030 0.785 2.912
O 2.492 9.977 5.473
O 5.471 7.826 6.214
O 0.181 2.443 7.931
O 4.176 7.928 2.080
O 2.954 6.035 2.914
O 4.165 10.100 3.762
O 7.804 4.866 3.750
O 6.938 6.508 8.779
O 1.203 2.893 4.006
O 5.968 5.877 4.894
O 7.728 9.275 2.713
O 2.541 4.523 1.044
B 2.734 11.328 5.822
B 0.414 10.356 1.959
B 4.152 2.709 2.414
B 7.558 7.444 9.730
B 2.539 3.210 0.686
B 0.855 5.442 10.522
B 7.274 6.153 4.258
B 7.815 7.954 2.410
B 3.131 10.689 10.518
B 5.240 6.473 5.875
B 0.694 11.619 7.434
B 4.839 7.102 1.171
B 3.152 9.426 4.381
B 4.679 0.925 4.259
B 6.524 9.333 11.007
B 4.667 10.454 8.690
B 7.115 1.854 1.175
B 6.718 1.216 5.871
B 3.831 4.589 9.283
B 0.682 2.089 3.003
B 1.448 8.462 0.683
B 0.818 4.171 4.375
B 7.281 5.205 8.691
B 0.168 9.834 9.279
B 3.574 5.099 1.963
B 7.136 3.117 7.312
B 3.290 6.390 7.435
B 1.256 6.070 5.817
B 4.802 8.372 7.318
B 3.297 7.338 3.002
B 4.398 2.187 9.734
B 5.432 4.081 11.010
Na 0.910 8.719 6.721
Na 3.999 7.426 10.357
Na 2.288 3.558 7.307
Na 3.963 10.377 1.329
Na 6.272 8.986 4.386
Na 0.014 5.117 1.336
Na 4.894 3.824 4.972
Na 7.947 2.167 10.364
```

***

A relaxed structure of Na2B4O17. Source: Materials Project, functional PBE.

The energy of formation from the pure elements is -970 meV/atom. Its magnetic moment is 8.00 μB/f.u. For the energy above the lowest structure with this stoichiometry, the calculation gives 220 meV per atom.

Cell and atoms, written as extended XYZ:
```
46
Lattice="6.645 4.840 -1.269 6.645 -4.840 -1.269 -1.099 0.000 -12.879" Properties=species:S:1:pos:R:3 pbc="T T T"
O 6.370 -2.116 -4.489
O 6.176 0.540 -3.764
O 6.339 -3.635 -6.542
O 5.475 -3.644 -12.874
O 5.626 -0.540 -10.204
O 5.821 2.116 -10.928
O 6.167 -3.644 -8.983
O 6.015 -0.540 -11.653
O 9.108 -1.988 -14.406
O 6.370 1.792 -4.489
O 5.584 -1.624 -14.105
O 5.789 3.635 -12.982
O 6.607 1.624 -1.313
O 2.416 -0.991 -4.554
O 6.716 3.644 -2.543
O 6.565 0.540 -5.214
O 2.157 0.044 -11.734
O 6.134 1.624 -7.665
O 5.852 3.635 -8.875
O 6.370 -4.743 -4.489
O 6.058 -1.624 -7.752
O 6.402 -3.635 -2.436
O 6.025 3.644 -6.435
O 1.866 0.991 -10.993
O 2.534 -1.988 -7.451
O 9.657 1.988 -7.967
O 9.485 0.044 -10.123
O 2.706 -0.044 -5.295
O 5.821 4.743 -10.928
O 10.325 -0.991 -4.425
O 9.776 0.991 -10.864
O 3.083 1.988 -1.011
O 10.035 -0.044 -3.683
O 5.821 -1.792 -10.928
B 6.236 -4.814 -5.853
B 5.468 -2.945 -14.100
B 6.017 2.945 -7.661
B 5.955 4.814 -9.564
B 6.724 2.945 -1.318
B 6.504 -4.814 -3.125
B 6.174 -2.945 -7.757
B 5.687 4.814 -12.293
Na 7.322 0.027 -8.584
Na 4.319 0.027 -13.273
Na 7.872 -0.027 -2.144
Na 4.869 -0.027 -6.834
```

***

A relaxed structure of Na3B6PO13. Source: Materials Project, functional PBE.

The value obtained for the total energy after the MP2020 corrections is -710.3 eV per cell. The energy of formation from the pure elements is -2774 meV/atom.

Cell and atoms, written as extended XYZ:
```
92
Lattice="6.880 0.000 0.000 0.000 9.454 0.000 0.000 0.000 16.423" Properties=species:S:1:pos:R:3 pbc="T T T"
O 0.486 1.606 4.106
O 1.702 4.172 8.438
O 5.050 2.935 0.200
O 5.270 7.662 0.200
O 2.792 7.749 14.393
O 5.142 0.555 7.986
O 5.142 0.555 0.226
O 1.738 8.899 8.438
O 5.178 5.282 7.986
O 1.830 6.519 8.411
O 0.428 4.221 4.106
O 6.048 7.618 4.106
O 6.232 6.432 6.182
O 6.187 8.885 6.143
O 1.249 7.683 5.384
O 1.830 6.519 16.224
O 4.271 2.892 4.106
O 4.132 4.158 2.068
O 6.452 5.232 12.318
O 0.692 0.569 10.280
O 3.012 8.948 4.106
O 5.270 7.662 8.012
O 6.394 7.848 12.318
O 0.648 3.022 14.393
O 0.831 1.835 12.318
O 2.748 5.295 10.280
O 1.249 7.683 2.828
O 4.688 6.497 11.040
O 2.191 2.956 5.384
O 2.792 7.749 10.242
O 0.648 3.022 10.242
O 3.926 3.121 12.318
O 5.631 1.771 13.596
O 2.608 6.562 12.318
O 6.187 8.885 2.068
O 1.610 1.792 16.224
O 4.132 4.158 6.143
O 5.631 1.771 11.040
O 5.178 5.282 0.226
O 1.610 1.792 8.411
O 6.232 6.432 2.030
O 2.748 5.295 14.355
O 4.688 6.497 13.596
O 1.738 8.899 16.197
O 4.088 1.705 2.030
O 0.692 0.569 14.355
O 2.954 6.333 4.106
O 1.702 4.172 16.197
O 3.868 0.506 12.318
O 5.050 2.935 8.012
O 2.191 2.956 2.828
O 4.088 1.705 6.182
Na 5.175 0.568 4.106
Na 5.107 8.884 14.212
Na 1.667 5.297 6.000
Na 1.735 4.159 12.318
Na 5.107 8.884 10.423
Na 1.773 0.570 6.000
Na 1.773 0.570 2.211
Na 5.213 4.157 14.212
Na 5.213 4.157 10.423
Na 1.705 8.886 12.318
Na 5.145 5.295 4.106
Na 1.667 5.297 2.211
B 2.100 5.331 15.540
B 5.540 8.850 7.329
B 1.305 2.992 9.058
B 2.100 5.331 9.095
B 1.305 2.992 15.578
B 6.633 7.654 2.807
B 5.575 6.462 0.846
B 3.193 6.527 11.019
B 2.135 7.719 9.058
B 2.135 7.719 15.578
B 4.745 1.735 0.846
B 3.687 2.927 2.807
B 4.780 4.123 0.883
B 4.780 4.123 7.329
B 3.193 6.527 13.616
B 5.540 8.850 0.883
B 1.340 0.604 9.095
B 5.575 6.462 7.366
B 4.745 1.735 7.366
B 1.340 0.604 15.540
B 6.633 7.654 5.405
B 0.247 1.800 11.019
B 0.247 1.800 13.616
B 3.687 2.927 5.405
P 2.222 7.658 4.106
P 5.662 6.523 12.318
P 1.218 2.931 4.106
P 4.658 1.796 12.318
```

***

A relaxed structure of Na3BP2O8. Source: Materials Project, functional PBE.

The value obtained for the total energy after the MP2020 corrections is -394.5 eV per cell. The energy of formation from the pure elements is -2683 meV/atom. Its magnetic moment is 0.00 μB/f.u.

Cell and atoms, written as extended XYZ:
```
56
Lattice="-2.603 -6.030 -4.928 2.896 -6.634 3.877 -8.754 -1.079 5.393" Properties=species:S:1:pos:R:3 pbc="T T T"
O -1.496 -5.746 4.705
O -4.120 -5.090 1.022
O -0.483 -11.061 -0.404
O -3.554 -2.147 2.124
O -8.242 -10.816 3.209
O -6.964 -7.997 -0.363
O -4.340 -8.652 3.319
O -4.906 -11.595 2.217
O -2.793 -10.394 2.229
O -6.598 -4.896 0.347
O -5.606 -6.120 -1.534
O -7.977 -2.682 4.746
O -7.476 -8.455 3.360
O -5.667 -3.348 2.112
O -1.862 -8.846 3.995
O -9.602 -5.876 1.429
O -2.610 -6.629 -3.439
O -2.854 -7.622 5.875
O -0.218 -2.927 1.133
O -2.391 -4.633 -1.936
O -6.069 -9.109 6.278
O 0.858 -4.695 2.581
O -5.850 -7.113 7.781
O -1.040 -7.995 -1.100
O -4.479 -8.264 -0.881
O -0.985 -5.288 0.981
O 1.142 -7.867 2.912
O -7.421 -5.748 5.442
O -2.446 -7.987 1.709
O -6.014 -5.756 2.633
O -9.318 -9.048 1.761
O -3.981 -5.478 5.223
P 0.274 -4.444 1.113
P -5.810 -7.700 -1.309
P -2.223 -5.070 -3.369
P -6.237 -8.673 7.711
P -2.651 -6.042 5.651
P -8.734 -9.299 3.229
P -5.525 -4.827 1.531
P -2.935 -8.915 2.810
B -4.964 -2.165 1.581
B -3.497 -11.578 2.761
B -9.101 -11.983 3.492
B 0.641 -1.760 0.850
Na -2.561 -3.390 0.013
Na -5.887 -8.054 1.713
Na 0.476 -6.878 4.855
Na -5.899 -10.352 4.329
Na -2.882 -6.509 -0.523
Na -5.725 -4.062 4.652
Na -0.246 -7.653 1.041
Na -8.936 -6.865 -0.513
Na -2.735 -9.680 -0.310
Na -5.578 -7.233 4.865
Na -2.573 -5.689 2.629
Na -8.214 -6.089 3.301
```

***

A relaxed structure of Na3BP4PbO16. Source: Materials Project, functional PBE.

The value obtained for the total energy after the MP2020 corrections is -345.5 eV per cell. The energy of formation from the pure elements is -2302 meV/atom. Its magnetic moment is 4.01 μB/f.u.

Cell and atoms, written as extended XYZ:
```
50
Lattice="-7.012 0.000 0.000 -0.008 -7.019 0.000 3.428 3.465 13.928" Properties=species:S:1:pos:R:3 pbc="T T T"
O -6.652 -3.977 1.411
O 0.983 -1.505 4.535
O -3.799 -0.797 2.494
O 0.469 -2.938 6.575
O -1.778 -2.302 2.650
O -1.847 1.198 11.245
O -4.074 -0.581 7.410
O -3.010 -3.562 4.277
O -0.580 -0.040 9.608
O -1.760 -4.751 2.630
O 0.946 1.952 9.446
O -1.279 -1.408 5.633
O -3.908 -3.014 1.366
O -3.028 -0.047 9.598
O -3.879 2.723 11.525
O -1.245 -2.302 13.523
O -0.556 -3.509 4.324
O 0.180 -2.806 11.473
O 0.375 0.623 7.342
O -4.004 -4.065 6.518
O 0.289 -0.548 12.603
O -2.263 1.349 5.555
O -1.802 -1.254 11.284
O -2.317 -2.188 8.356
O 0.242 -6.274 2.417
O -4.526 -2.087 9.430
O -1.340 -4.930 8.357
O -4.545 -5.587 4.546
O 3.045 0.444 12.510
O -2.367 2.166 13.496
O -1.139 -5.682 0.364
O -2.334 -1.230 0.458
B -1.817 -0.050 10.428
B -1.763 -3.543 3.463
P -3.460 -4.749 5.257
P -0.141 1.176 8.669
P -0.090 -2.333 5.293
P -3.492 -1.247 8.666
P -3.043 1.633 12.227
P -2.978 -1.850 1.709
P -0.631 -1.735 12.247
P -0.544 -5.189 1.683
Na 0.097 -2.522 8.847
Na 0.063 1.048 5.017
Na -6.308 -1.598 1.873
Na -3.698 -4.537 8.822
Na -4.304 -5.390 1.882
Na 2.754 -1.891 12.013
Pb -3.676 -0.988 5.091
Pb 0.718 1.857 12.040
```

***

A relaxed structure of Na3BSbPO7. Source: Materials Project, functional PBE.

The value obtained for the total energy after the MP2020 corrections is -172.3 eV per cell. The energy of formation from the pure elements is -2409 meV/atom. Its magnetic moment is 0.00 μB/f.u.

Cell and atoms, written as extended XYZ:
```
26
Lattice="-3.896 5.369 2.077 0.688 -1.517 5.212 7.678 5.186 0.997" Properties=species:S:1:pos:R:3 pbc="T T T"
O -1.058 6.345 3.164
O -1.831 3.317 5.440
O 0.515 1.415 3.125
O 0.238 2.081 0.884
O 3.955 7.623 5.161
O 1.526 6.659 3.097
O 4.009 3.837 3.417
O 0.461 5.201 4.869
O 4.232 6.957 7.402
O 4.154 4.586 5.855
O 0.316 4.452 2.431
O 2.944 2.379 5.189
O 5.527 2.693 5.122
O 6.301 5.721 2.846
Na -2.217 4.026 2.881
Na 5.913 3.564 2.065
Na -1.443 5.474 6.221
Na 0.443 2.875 5.215
Na 6.687 5.012 5.405
Na 4.027 6.163 3.071
P 4.127 3.363 4.866
P 0.342 5.675 3.420
B -0.284 1.285 1.962
B 4.753 7.753 6.324
Sb 2.639 6.241 6.265
Sb 1.831 2.797 2.021
```

***

What is the energy of formation from the pure elements in the fourth record? -2683 meV/atom